Entry 1:
# GGA-PBE NiH16C4S4N8Cl2, relaxed
# Formation energy from the elements, eV per atom: -0.37
data_NiH16C4S4N8Cl2
_chemical_formula_sum 'Ni2 H32 C8 S8 N16 Cl4'
_cell_length_a 9.698
_cell_length_b 9.698
_cell_length_c 9.039
_cell_angle_alpha 90.00
_cell_angle_beta 90.00
_cell_angle_gamma 90.00
_symmetry_space_group_name_H-M 'I 4'
_symmetry_Int_Tables_number 79
loop_
_symmetry_equiv_pos_as_xyz
'x,y,z'
'-y,x,z'
'-x,-y,z'
'y,-x,z'
'x+1/2,y+1/2,z+1/2'
'-y+1/2,x+1/2,z+1/2'
'-x+1/2,-y+1/2,z+1/2'
'y+1/2,-x+1/2,z+1/2'
loop_
_atom_site_label
_atom_site_type_symbol
_atom_site_fract_x
_atom_site_fract_y
_atom_site_fract_z
Ni1 Ni 0.000 0.000 0.000
H1 H 0.006 0.222 0.399
H2 H 0.006 0.654 0.540
H3 H 0.162 0.169 0.782
H4 H 0.200 0.220 0.239
C1 C 0.151 0.674 0.920
S1 S 0.029 0.751 0.031
N1 N 0.045 0.307 0.451
N2 N 0.205 0.741 0.805
Cl1 Cl 0.000 0.000 0.281
Cl2 Cl 0.000 0.000 0.733



Entry 2:
# GGA-PBE NpH16C4N8ClO6, relaxed
# Formation energy from the elements, eV per atom: -0.88
data_NpH16C4N8ClO6
_chemical_formula_sum 'Np4 H64 C16 N32 Cl4 O24'
_cell_length_a 10.644
_cell_length_b 12.228
_cell_length_c 11.796
_cell_angle_alpha 90.00
_cell_angle_beta 98.99
_cell_angle_gamma 90.00
_symmetry_space_group_name_H-M 'C 1 2/c 1'
_symmetry_Int_Tables_number 15
loop_
_symmetry_equiv_pos_as_xyz
'x,y,z'
'-x,-y,-z'
'-x,y,-z+1/2'
'x,-y,z+1/2'
'x+1/2,y+1/2,z'
'-x+1/2,-y+1/2,-z'
'-x+1/2,y+1/2,-z+1/2'
'x+1/2,-y+1/2,z+1/2'
loop_
_atom_site_label
_atom_site_type_symbol
_atom_site_fract_x
_atom_site_fract_y
_atom_site_fract_z
Np1 Np 0.000 0.220 0.250
H1 H 0.071 0.419 0.606
H2 H 0.081 0.093 0.507
H3 H 0.114 0.349 0.487
H4 H 0.130 0.414 0.858
H5 H 0.172 0.008 0.335
H6 H 0.187 0.172 0.606
H7 H 0.239 0.114 0.794
H8 H 0.247 0.332 0.940
C1 C 0.072 0.334 0.994
C2 C 0.120 0.029 0.668
N1 N 0.050 0.366 0.540
N2 N 0.136 0.102 0.585
N3 N 0.158 0.365 0.928
N4 N 0.179 0.050 0.775
Cl1 Cl 0.000 0.457 0.250
O1 O 0.053 0.056 0.144
O2 O 0.105 0.277 0.084
O3 O 0.158 0.220 0.342



Entry 3:
# GGA-PBE ZnPH5CNClO3, relaxed
# Formation energy from the elements, eV per atom: -1.15
data_ZnPH5CNClO3
_chemical_formula_sum 'Zn4 P4 H20 C4 N4 Cl4 O12'
_cell_length_a 4.800
_cell_length_b 16.096
_cell_length_c 8.318
_cell_angle_alpha 90.00
_cell_angle_beta 107.87
_cell_angle_gamma 90.00
_symmetry_space_group_name_H-M 'P 1 21/c 1'
_symmetry_Int_Tables_number 14
loop_
_symmetry_equiv_pos_as_xyz
'x,y,z'
'-x,-y,-z'
'-x,y+1/2,-z+1/2'
'x,-y+1/2,z+1/2'
loop_
_atom_site_label
_atom_site_type_symbol
_atom_site_fract_x
_atom_site_fract_y
_atom_site_fract_z
Zn1 Zn 0.093 0.179 0.172
P1 P 0.455 0.167 0.914
H1 H 0.111 0.649 0.775
H2 H 0.211 0.557 0.869
H3 H 0.242 0.546 0.588
H4 H 0.408 0.036 0.759
H5 H 0.443 0.638 0.916
C1 C 0.412 0.580 0.684
N1 N 0.287 0.608 0.819
Cl1 Cl 0.073 0.085 0.370
O1 O 0.243 0.212 0.763
O2 O 0.284 0.721 0.489
O3 O 0.291 0.124 0.024



Entry 4:
# GGA-PBE PuH24C8N2Cl4O2, relaxed
# Formation energy from the elements, eV per atom: -0.50
data_PuH24C8N2Cl4O2
_chemical_formula_sum 'Pu2 H48 C16 N4 Cl8 O4'
_cell_length_a 9.620
_cell_length_b 9.620
_cell_length_c 12.294
_cell_angle_alpha 90.00
_cell_angle_beta 90.00
_cell_angle_gamma 90.00
_symmetry_space_group_name_H-M 'P 42/m n m'
_symmetry_Int_Tables_number 136
_symmetry_space_group_name_Hall '-P 4n 2n'
loop_
_atom_site_label
_atom_site_type_symbol
_atom_site_fract_x
_atom_site_fract_y
_atom_site_fract_z
Pu1 Pu 0.000 0.000 0.000
H1 H 0.025 0.347 0.371
H2 H 0.068 0.358 0.129
H3 H 0.100 0.694 0.267
C1 C 0.059 0.613 0.321
N1 N 0.000 0.500 0.250
Cl1 Cl 0.000 0.000 0.215
Cl2 Cl 0.197 0.803 0.000
O1 O 0.132 0.132 0.000



Copy entry 3 word for word.
# GGA-PBE ZnPH5CNClO3, relaxed
# Formation energy from the elements, eV per atom: -1.15
data_ZnPH5CNClO3
_chemical_formula_sum 'Zn4 P4 H20 C4 N4 Cl4 O12'
_cell_length_a 4.800
_cell_length_b 16.096
_cell_length_c 8.318
_cell_angle_alpha 90.00
_cell_angle_beta 107.87
_cell_angle_gamma 90.00
_symmetry_space_group_name_H-M 'P 1 21/c 1'
_symmetry_Int_Tables_number 14
loop_
_symmetry_equiv_pos_as_xyz
'x,y,z'
'-x,-y,-z'
'-x,y+1/2,-z+1/2'
'x,-y+1/2,z+1/2'
loop_
_atom_site_label
_atom_site_type_symbol
_atom_site_fract_x
_atom_site_fract_y
_atom_site_fract_z
Zn1 Zn 0.093 0.179 0.172
P1 P 0.455 0.167 0.914
H1 H 0.111 0.649 0.775
H2 H 0.211 0.557 0.869
H3 H 0.242 0.546 0.588
H4 H 0.408 0.036 0.759
H5 H 0.443 0.638 0.916
C1 C 0.412 0.580 0.684
N1 N 0.287 0.608 0.819
Cl1 Cl 0.073 0.085 0.370
O1 O 0.243 0.212 0.763
O2 O 0.284 0.721 0.489
O3 O 0.291 0.124 0.024